## LiTi2O4 (PBE)

Data for LiTi2O4 after structural relaxation.

```
14
Lattice="6.015 -2.008 0.000 6.015 2.008 0.000 -1.942 0.000 6.306" Properties=species:S:1:pos:R:3 pbc="T T T"
Li 0.008 0.000 2.202
Li 10.079 0.000 4.103
Ti 2.093 0.000 4.506
Ti 4.084 0.000 1.836
Ti 6.004 0.000 4.470
Ti 7.994 0.000 1.800
O 0.070 0.000 4.247
O 2.061 0.000 2.167
O 2.280 0.000 6.301
O 4.043 0.000 4.046
O 6.044 0.000 2.260
O 7.807 0.000 0.005
O 8.026 0.000 4.139
O 10.017 0.000 2.059
```

Calculated values
MP2020-corrected energy (eV per formula unit): -59.86
ΔE to the lowest computed polymorph (meV per atom): 51



## AcRh2Pb (PBE)

Data for AcRh2Pb after structural relaxation.

```
4
Lattice="0.000 3.546 3.546 3.546 0.000 3.546 3.546 3.546 0.000" Properties=species:S:1:pos:R:3 pbc="T T T"
Ac 0.000 0.000 0.000
Rh 1.773 1.773 1.773
Rh 5.318 5.318 5.318
Pb 3.546 3.546 3.546
```



## MgTi2Zn4O8 (PBE)

Data for MgTi2Zn4O8 after structural relaxation.

```
15
Lattice="5.246 -3.006 0.000 5.246 3.006 0.000 -3.234 0.000 5.231" Properties=species:S:1:pos:R:3 pbc="T T T"
Mg 0.000 0.000 0.000
Ti 5.246 0.000 0.000
Ti 3.628 0.000 2.616
Zn 2.623 1.503 0.000
Zn 0.201 0.000 2.436
Zn 2.623 -1.503 0.000
Zn 7.055 0.000 2.795
O 2.751 1.500 3.935
O 4.506 1.500 1.297
O 1.904 0.000 1.357
O 0.286 0.000 4.297
O 6.970 0.000 0.934
O 5.352 0.000 3.874
O 2.751 -1.500 3.935
O 4.506 -1.500 1.297
```

Calculated values
MP2020-corrected energy (eV per formula unit): -95.75
ΔE to the lowest computed polymorph (meV per atom): 15



## PmY3 (PBE)

Data for PmY3 after structural relaxation.

```
4
Lattice="-2.543 2.543 5.098 2.543 -2.543 5.098 2.543 2.543 -5.098" Properties=species:S:1:pos:R:3 pbc="T T T"
Pm 0.000 0.000 0.000
Y 2.543 0.000 2.549
Y 0.000 0.000 5.098
Y 0.000 2.543 2.549
```

Calculated values
ΔE to the lowest computed polymorph (meV per atom): 10



## K4Ba2SnP4 (PBE)

Data for K4Ba2SnP4 after structural relaxation.

```
22
Lattice="5.230 -8.985 0.000 5.230 8.985 0.000 -0.204 0.000 7.888" Properties=species:S:1:pos:R:3 pbc="T T T"
K 5.128 7.720 3.944
K 6.046 4.740 1.505
K 6.102 1.324 0.185
K 8.231 2.569 4.036
K 6.000 -1.324 4.129
K 5.944 -4.740 5.449
K 5.230 -7.720 0.000
K 8.333 -2.569 0.092
Ba 2.862 0.511 5.438
Ba 5.069 4.265 5.448
Ba 2.964 -0.511 1.494
Ba 5.171 -4.265 1.505
Sn 3.033 3.005 2.409
Sn 2.931 -3.005 6.353
P 2.888 2.904 7.701
P 5.994 7.236 7.077
P 5.077 1.728 3.353
P 2.990 -2.904 3.757
P 4.975 -1.728 7.297
P 8.077 3.553 7.167
P 8.179 -3.553 3.223
P 6.096 -7.236 3.133
```



## Y3SOF5 (PBE)

Data for Y3SOF5 after structural relaxation.

```
20
Lattice="9.427 0.000 0.000 0.000 3.690 0.000 -4.673 0.000 8.253" Properties=species:S:1:pos:R:3 pbc="T T T"
Y 0.000 0.000 0.000
Y -2.218 1.845 5.686
Y 0.570 0.000 3.721
Y 2.969 1.845 1.511
Y 1.381 1.845 7.181
Y 6.395 0.000 2.600
S -0.892 1.845 2.036
S -0.780 0.000 7.579
O -1.686 0.000 4.405
O 1.575 0.000 1.637
F -3.241 1.845 7.919
F 0.097 1.845 5.220
F 2.015 1.845 3.606
F 1.822 0.000 5.818
F 4.099 0.000 2.578
F 5.484 1.845 1.260
F 6.972 0.000 0.153
F 3.686 1.845 7.175
F 5.791 1.845 3.862
F 5.705 0.000 6.173
```

Calculated values
MP2020-corrected energy (eV per formula unit): -78.34



## ZnGaAsSe (PBE)

Data for ZnGaAsSe after structural relaxation.

```
4
Lattice="2.029 1.171 6.641 -2.029 1.171 6.641 0.000 -2.343 6.641" Properties=species:S:1:pos:R:3 pbc="T T T"
Zn 0.000 0.000 0.000
Ga 0.000 0.000 9.892
As 0.000 0.000 2.462
Se 0.000 0.000 12.399
```

Calculated values
MP2020-corrected energy (eV per formula unit): -14.95



## Hf2ReRu (PBE)

Data for Hf2ReRu after structural relaxation.

```
4
Lattice="0.000 3.261 3.261 3.261 0.000 3.261 3.261 3.261 0.000" Properties=species:S:1:pos:R:3 pbc="T T T"
Hf 1.630 1.630 1.630
Hf 4.891 4.891 4.891
Re 0.000 0.000 0.000
Ru 3.261 3.261 3.261
```



## AlPO4 (PBE)

Data for AlPO4 after structural relaxation.

```
96
Lattice="19.644 0.000 0.000 0.000 8.688 0.000 0.000 0.000 9.956" Properties=species:S:1:pos:R:3 pbc="T T T"
Al 0.652 0.682 0.000
Al 1.495 5.058 2.483
Al 3.520 4.983 8.935
Al 4.364 0.685 1.998
Al 5.458 0.685 6.976
Al 6.302 4.983 3.957
Al 8.327 5.058 7.461
Al 9.170 0.682 4.978
Al 10.474 8.006 0.000
Al 11.317 3.630 2.483
Al 13.342 3.705 8.935
Al 14.186 8.003 1.998
Al 15.280 8.003 6.976
Al 16.124 3.705 3.957
Al 18.149 3.630 7.461
Al 18.992 8.006 4.978
P 0.655 3.924 9.673
P 1.501 8.276 2.787
P 3.499 8.202 9.137
P 4.394 3.878 1.776
P 5.428 3.878 6.754
P 6.323 8.202 4.159
P 8.321 8.276 7.765
P 9.167 3.924 4.695
P 10.477 4.764 9.673
P 11.323 0.412 2.787
P 13.321 0.486 9.137
P 14.216 4.810 1.776
P 15.250 4.810 6.754
P 16.145 0.486 4.159
P 18.143 0.412 7.765
P 18.989 4.764 4.695
O 0.568 4.723 1.029
O 0.590 0.091 1.648
O 0.623 4.490 3.888
O 0.773 2.424 0.035
O 0.798 8.512 4.133
O 1.786 6.777 2.594
O 1.880 4.367 8.850
O 2.057 0.042 9.131
O 2.829 0.359 2.791
O 3.030 4.237 2.394
O 3.478 6.681 9.323
O 4.156 8.548 7.794
O 4.304 0.151 0.329
O 4.322 4.725 7.405
O 4.392 4.153 0.262
O 4.689 2.397 2.032
O 5.133 2.397 7.010
O 5.430 4.153 5.240
O 5.500 4.725 2.427
O 5.518 0.151 5.307
O 5.666 8.548 2.816
O 6.344 6.681 4.345
O 6.792 4.237 7.372
O 6.993 0.359 7.769
O 7.765 0.042 4.153
O 7.942 4.367 3.872
O 8.036 6.777 7.572
O 9.024 8.512 9.111
O 9.049 2.424 5.012
O 9.199 4.490 8.866
O 9.232 0.091 6.626
O 9.254 4.723 6.007
O 10.390 3.965 1.029
O 10.412 8.597 1.648
O 10.445 4.198 3.888
O 10.595 6.264 0.035
O 10.620 0.177 4.133
O 11.608 1.911 2.594
O 11.702 4.321 8.850
O 11.879 8.646 9.131
O 12.651 8.329 2.791
O 12.852 4.452 2.394
O 13.300 2.007 9.323
O 13.978 0.140 7.794
O 14.126 8.537 0.329
O 14.144 3.963 7.405
O 14.214 4.535 0.262
O 14.511 6.291 2.032
O 14.955 6.291 7.010
O 15.252 4.535 5.240
O 15.322 3.963 2.427
O 15.340 8.537 5.307
O 15.488 0.140 2.816
O 16.166 2.007 4.345
O 16.614 4.452 7.372
O 16.815 8.329 7.769
O 17.587 8.646 4.153
O 17.764 4.321 3.872
O 17.858 1.911 7.572
O 18.846 0.177 9.111
O 18.871 6.264 5.012
O 19.021 4.198 8.866
O 19.054 8.597 6.626
O 19.076 3.965 6.007
```

Calculated values
MP2020-corrected energy (eV per formula unit): -47.60



## LiAlSiH2O5 (PBE)

Data for LiAlSiH2O5 after structural relaxation.

```
40
Lattice="10.113 0.000 0.000 0.000 8.183 0.000 0.000 0.000 5.071" Properties=species:S:1:pos:R:3 pbc="T T T"
Li 1.519 1.093 0.000
Li 3.537 5.184 2.535
Li 6.576 2.999 0.000
Li 8.594 7.090 2.535
Al 1.765 4.491 5.055
Al 3.292 0.400 2.520
Al 6.821 7.782 5.055
Al 8.348 3.691 2.520
Si 1.348 2.838 2.527
Si 3.709 6.929 5.062
Si 6.404 1.254 2.527
Si 8.765 5.345 5.062
H 0.559 6.567 1.526
H 1.034 6.823 2.997
H 4.023 2.731 0.462
H 4.498 2.476 4.061
H 5.615 5.707 1.526
H 6.090 5.451 2.997
H 9.079 1.360 0.462
H 9.554 1.616 4.061
O 0.272 5.403 0.220
O 0.443 7.180 2.306
O 1.747 2.978 0.932
O 1.981 4.130 3.333
O 2.007 1.456 3.119
O 3.049 5.547 0.584
O 3.076 0.039 0.798
O 3.310 7.069 3.467
O 4.614 3.088 4.841
O 4.785 1.312 2.755
O 5.328 6.871 0.220
O 5.499 5.094 2.306
O 6.803 1.114 0.932
O 7.037 8.144 3.333
O 7.064 2.635 3.119
O 8.106 6.726 0.584
O 8.132 4.052 0.798
O 8.366 5.205 3.467
O 9.671 1.003 4.841
O 9.841 2.779 2.755
```

Calculated values
MP2020-corrected energy (eV per formula unit): -68.64
ΔE to the lowest computed polymorph (meV per atom): 15



## EuNb8O14 (PBE)

Data for EuNb8O14 after structural relaxation.

```
46
Lattice="9.330 0.000 0.000 0.000 10.417 0.000 0.000 0.000 6.023" Properties=species:S:1:pos:R:3 pbc="T T T"
Eu 0.000 0.000 0.000
Eu 4.665 5.209 0.000
Nb 1.071 1.709 3.012
Nb 1.123 6.917 0.000
Nb 1.174 4.408 1.395
Nb 1.174 4.408 4.628
Nb 3.490 9.617 1.395
Nb 3.490 9.617 4.628
Nb 3.541 1.709 0.000
Nb 3.593 6.918 3.012
Nb 5.736 3.499 3.012
Nb 5.788 8.709 0.000
Nb 5.839 0.800 1.395
Nb 5.839 0.800 4.628
Nb 8.155 6.009 1.395
Nb 8.155 6.009 4.628
Nb 8.206 3.500 0.000
Nb 8.258 8.708 3.012
O 0.000 0.000 3.012
O 0.000 5.209 3.012
O 0.038 2.575 1.479
O 0.038 2.575 4.544
O 2.186 8.850 0.000
O 2.193 3.337 3.012
O 2.214 0.890 1.469
O 2.214 0.890 4.554
O 2.451 6.099 1.469
O 2.451 6.099 4.554
O 2.472 8.545 3.012
O 2.478 3.641 0.000
O 4.627 7.784 1.479
O 4.627 7.784 4.544
O 4.665 0.000 3.012
O 4.665 5.209 3.012
O 4.703 2.634 1.479
O 4.703 2.634 4.544
O 6.851 6.776 0.000
O 6.858 1.872 3.012
O 6.879 4.318 1.469
O 6.879 4.318 4.554
O 7.116 9.527 1.469
O 7.116 9.527 4.554
O 7.136 7.081 3.012
O 7.143 1.567 0.000
O 9.292 7.842 1.479
O 9.292 7.842 4.544
```

Calculated values
MP2020-corrected energy (eV per formula unit): -225.78



## Eu3S4 (PBE)

Data for Eu3S4 after structural relaxation.

```
14
Lattice="-4.299 4.299 4.299 4.299 -4.299 4.299 4.299 4.299 -4.299" Properties=species:S:1:pos:R:3 pbc="T T T"
Eu 4.299 -2.150 3.224
Eu 3.224 4.299 -2.150
Eu 4.299 2.150 1.075
Eu 2.150 1.075 4.299
Eu 1.075 4.299 2.150
Eu -2.150 3.224 4.299
S 2.775 1.525 -1.525
S 4.924 -0.625 0.625
S 1.525 -1.525 2.775
S 1.525 1.525 1.525
S -1.525 2.775 1.525
S 0.625 4.924 -0.625
S -0.625 0.625 4.924
S 3.674 3.674 3.674
```

Calculated values
MP2020-corrected energy (eV per formula unit): -62.36



## La3GaFeS7 (PBE)

Data for La3GaFeS7 after structural relaxation.

```
24
Lattice="10.201 0.000 0.000 0.000 5.985 0.000 -5.066 0.000 8.931" Properties=species:S:1:pos:R:3 pbc="T T T"
La -0.515 5.982 3.206
La 2.084 2.987 1.113
La -0.027 2.993 6.541
La 5.162 0.000 2.390
La 3.051 5.980 7.818
La 5.650 2.990 5.724
Ga -2.517 5.492 7.440
Ga 7.652 2.499 1.491
Fe 2.568 1.671 4.465
Fe 2.567 4.664 4.466
S -4.491 4.607 8.212
S -2.205 4.612 5.339
S -2.523 1.752 7.438
S 0.675 3.217 3.673
S 2.277 0.224 2.387
S -0.863 4.608 8.771
S 0.965 0.221 5.737
S 4.170 3.214 3.193
S 5.998 1.615 0.160
S 2.858 3.217 6.543
S 4.460 0.225 5.258
S 7.658 4.744 1.492
S 7.340 1.620 3.592
S 9.626 1.615 0.718
```

Calculated values
MP2020-corrected energy (eV per formula unit): -77.62



So what do the calculations give for energy of formation? Going down the list: -3.196 -0.335 -2.249 0.023 -0.600 -4.028 -0.627 -0.571 -3.108 -2.603 -2.845 -2.150 -1.863 eV per atom.
So what do the calculations give for raw total energy? Going down the list: -8.159 -5.975 -6.017 -6.015 -3.686 -7.484 -3.620 -10.979 -7.475 -6.520 -9.398 -8.622 -6.175 eV per atom.